First-principles (PBE) data for crystalline Ho2Co17 at its relaxed geometry, as listed in the Materials Project.

## Properties
Energy (eV/f.u.): -131.955
M_tot (μB per atom): 1.33

Cell lengths 8.280, 8.280, 8.082 Å; angles 90.00, 90.00, 120.00 degrees
Sites, in units of the cell vectors:
Ho1 0.000 0.000 0.250
Ho2 0.000 0.000 0.750
Ho3 0.333 0.667 0.250
Ho4 0.667 0.333 0.750
Co1 0.000 0.500 0.000
Co2 0.000 0.500 0.500
Co3 0.046 0.374 0.750
Co4 0.046 0.672 0.750
Co5 0.167 0.333 0.022
Co6 0.167 0.333 0.478
Co7 0.167 0.833 0.022
Co8 0.167 0.833 0.478
Co9 0.328 0.374 0.750
Co10 0.328 0.954 0.750
Co11 0.333 0.167 0.522
Co12 0.333 0.167 0.978
Co13 0.333 0.667 0.606
Co14 0.333 0.667 0.894
Co15 0.374 0.046 0.250
Co16 0.374 0.328 0.250
Co17 0.500 0.000 0.000
Co18 0.500 0.000 0.500
Co19 0.500 0.500 0.000
Co20 0.500 0.500 0.500
Co21 0.626 0.672 0.750
Co22 0.626 0.954 0.750
Co23 0.667 0.333 0.106
Co24 0.667 0.333 0.394
Co25 0.667 0.833 0.022
Co26 0.667 0.833 0.478
Co27 0.672 0.046 0.250
Co28 0.672 0.626 0.250
Co29 0.833 0.167 0.522
Co30 0.833 0.167 0.978
Co31 0.833 0.667 0.522
Co32 0.833 0.667 0.978
Co33 0.954 0.328 0.250
Co34 0.954 0.626 0.250

First-principles (PBE) data for crystalline Ho4Co at its relaxed geometry, as listed in the Materials Project.

## Properties
Energy (eV/f.u.): -23.939
M_tot (μB per atom): 0.00

Cell lengths 7.444, 7.444, 7.444 Å; angles 60.00, 60.00, 60.00 degrees
Sites, in units of the cell vectors:
Ho1 0.220 0.760 0.760
Ho2 0.240 0.240 0.240
Ho3 0.240 0.240 0.780
Ho4 0.240 0.780 0.240
Ho5 0.760 0.220 0.760
Ho6 0.760 0.760 0.220
Ho7 0.760 0.760 0.760
Ho8 0.780 0.240 0.240
Co1 0.375 0.375 0.375
Co2 0.625 0.625 0.625

First-principles (PBE) data for crystalline Ho3In4Co2 at its relaxed geometry, as listed in the Materials Project.

## Properties
Energy (eV/f.u.): -40.993
M_tot (μB per atom): 0.02

Cell lengths 8.117, 8.117, 3.534 Å; angles 90.00, 90.00, 120.00 degrees
Sites, in units of the cell vectors:
Ho1 0.078 0.408 0.000
Ho2 0.330 0.922 0.000
Ho3 0.592 0.670 0.000
In1 0.000 0.000 0.000
In2 0.377 0.296 0.500
In3 0.704 0.082 0.500
In4 0.918 0.623 0.500
Co1 0.333 0.667 0.500
Co2 0.667 0.333 0.000

First-principles (PBE) data for crystalline HoInCo4 at its relaxed geometry, as listed in the Materials Project.

## Properties
Energy (eV/f.u.): -36.657
M_tot (μB per atom): 0.74

Cell lengths 4.971, 4.971, 4.971 Å; angles 60.00, 60.00, 60.00 degrees
Sites, in units of the cell vectors:
Ho1 0.000 0.000 0.000
In1 0.750 0.750 0.750
Co1 0.375 0.375 0.375
Co2 0.375 0.375 0.874
Co3 0.375 0.874 0.375
Co4 0.874 0.375 0.375

First-principles (PBE) data for crystalline Ho2In8Co at its relaxed geometry, as listed in the Materials Project.

## Properties
Energy (eV/f.u.): -41.352
M_tot (μB per atom): 0.00

Cell lengths 4.645, 4.645, 11.961 Å; angles 90.00, 90.00, 90.00 degrees
Sites, in units of the cell vectors:
Ho1 0.000 0.000 0.194
Ho2 0.000 0.000 0.806
In1 0.000 0.500 0.000
In2 0.000 0.500 0.380
In3 0.000 0.500 0.620
In4 0.500 0.000 0.000
In5 0.500 0.000 0.380
In6 0.500 0.000 0.620
In7 0.500 0.500 0.196
In8 0.500 0.500 0.804
Co1 0.000 0.000 0.500

First-principles (PBE) data for crystalline HoInCo2 at its relaxed geometry, as listed in the Materials Project.

## Properties
Energy (eV/f.u.): -22.565
M_tot (μB per atom): 0.56

Cell lengths 4.991, 4.047, 7.066 Å; angles 90.00, 90.00, 90.00 degrees
Sites, in units of the cell vectors:
Ho1 0.250 0.000 0.222
Ho2 0.750 0.000 0.778
In1 0.250 0.500 0.849
In2 0.750 0.500 0.151
Co1 0.000 0.500 0.500
Co2 0.250 0.000 0.596
Co3 0.500 0.500 0.500
Co4 0.750 0.000 0.404

First-principles (PBE) data for crystalline HoCo4Ni at its relaxed geometry, as listed in the Materials Project.

## Properties
Energy (eV/f.u.): -39.702
M_tot (μB per atom): 1.02

Cell lengths 4.906, 4.906, 3.940 Å; angles 90.00, 90.00, 120.00 degrees
Sites, in units of the cell vectors:
Ho1 0.000 0.000 0.000
Co1 0.003 0.502 0.500
Co2 0.498 0.502 0.500
Co3 0.498 0.997 0.500
Co4 0.667 0.333 0.000
Ni1 0.333 0.667 0.000

First-principles (PBE) data for crystalline Ho2CoOs at its relaxed geometry, as listed in the Materials Project.

## Properties
Energy (eV/f.u.): -28.125
M_tot (μB per atom): 0.21

Cell lengths 4.773, 4.773, 4.773 Å; angles 60.00, 60.00, 60.00 degrees
Sites, in units of the cell vectors:
Ho1 0.250 0.250 0.250
Ho2 0.750 0.750 0.750
Co1 0.000 0.000 0.000
Os1 0.500 0.500 0.500

First-principles (PBE) data for crystalline HoCo5P3 at its relaxed geometry, as listed in the Materials Project.

## Properties
Energy (eV/f.u.): -63.996
M_tot (μB per atom): 0.15

Cell lengths 11.703, 3.639, 10.263 Å; angles 90.00, 90.00, 90.00 degrees
Sites, in units of the cell vectors:
Ho1 0.203 0.250 0.083
Ho2 0.297 0.750 0.583
Ho3 0.703 0.250 0.417
Ho4 0.797 0.750 0.917
Co1 0.010 0.750 0.716
Co2 0.012 0.750 0.093
Co3 0.068 0.750 0.467
Co4 0.176 0.250 0.779
Co5 0.198 0.250 0.383
Co6 0.302 0.750 0.883
Co7 0.324 0.750 0.279
Co8 0.432 0.250 0.967
Co9 0.488 0.250 0.593
Co10 0.490 0.250 0.216
Co11 0.510 0.750 0.784
Co12 0.512 0.750 0.407
Co13 0.568 0.750 0.033
Co14 0.676 0.250 0.721
Co15 0.698 0.250 0.117
Co16 0.802 0.750 0.617
Co17 0.824 0.750 0.221
Co18 0.932 0.250 0.533
Co19 0.988 0.250 0.907
Co20 0.990 0.250 0.284
P1 0.109 0.750 0.898
P2 0.112 0.250 0.582
P3 0.130 0.750 0.270
P4 0.370 0.250 0.770
P5 0.388 0.750 0.082
P6 0.391 0.250 0.398
P7 0.609 0.750 0.602
P8 0.612 0.250 0.918
P9 0.630 0.750 0.230
P10 0.870 0.250 0.730
P11 0.888 0.750 0.418
P12 0.891 0.250 0.102

First-principles (PBE) data for crystalline HoCo2Si2 at its relaxed geometry, as listed in the Materials Project.

## Properties
Energy with MP2020 corrections (eV per atom): -6.73
Energy (eV/f.u.): -33.815

Cell lengths 5.584, 5.584, 5.584 Å; angles 139.44, 139.44, 58.70 degrees
Sites, in units of the cell vectors:
Ho1 0.000 0.000 0.000
Co1 0.250 0.750 0.500
Co2 0.750 0.250 0.500
Si1 0.372 0.372 0.000
Si2 0.628 0.628 0.000

First-principles (PBE) data for crystalline Ho5Co4Si14 at its relaxed geometry, as listed in the Materials Project.

## Properties
Energy with MP2020 corrections (eV per atom): -6.15
Energy (eV/f.u.): -142.440
M_tot (μB per atom): 0.00

Cell lengths 12.355, 7.810, 7.725 Å; angles 90.00, 98.78, 90.00 degrees
Sites, in units of the cell vectors:
Ho1 0.000 0.000 0.000
Ho2 0.000 0.500 0.500
Ho3 0.364 0.248 0.342
Ho4 0.364 0.252 0.842
Ho5 0.364 0.749 0.339
Ho6 0.364 0.751 0.839
Ho7 0.636 0.249 0.161
Ho8 0.636 0.251 0.661
Ho9 0.636 0.748 0.158
Ho10 0.636 0.752 0.658
Co1 0.000 0.127 0.628
Co2 0.000 0.373 0.128
Co3 0.000 0.627 0.872
Co4 0.000 0.873 0.372
Co5 0.248 0.000 0.061
Co6 0.248 0.500 0.561
Co7 0.752 0.000 0.939
Co8 0.752 0.500 0.439
Si1 0.000 0.166 0.335
Si2 0.000 0.334 0.835
Si3 0.000 0.666 0.165
Si4 0.000 0.834 0.665
Si5 0.176 0.226 0.550
Si6 0.176 0.274 0.050
Si7 0.176 0.726 0.037
Si8 0.176 0.774 0.537
Si9 0.177 0.006 0.768
Si10 0.177 0.494 0.268
Si11 0.177 0.506 0.818
Si12 0.177 0.994 0.318
Si13 0.439 0.000 0.109
Si14 0.439 0.500 0.609
Si15 0.442 0.000 0.612
Si16 0.442 0.500 0.112
Si17 0.558 0.000 0.388
Si18 0.558 0.500 0.888
Si19 0.561 0.000 0.891
Si20 0.561 0.500 0.391
Si21 0.823 0.006 0.682
Si22 0.823 0.494 0.182
Si23 0.823 0.506 0.732
Si24 0.823 0.994 0.232
Si25 0.824 0.226 0.463
Si26 0.824 0.274 0.963
Si27 0.824 0.726 0.950
Si28 0.824 0.774 0.450

First-principles (PBE) data for crystalline Ho3Co2Si7 at its relaxed geometry, as listed in the Materials Project.

## Properties
Energy with MP2020 corrections (eV per atom): -6.13
Energy (eV/f.u.): -74.025
M_tot (μB per atom): 0.00

Cell lengths 4.033, 12.416, 12.416 Å; angles 18.43, 90.00, 90.00 degrees
Sites, in units of the cell vectors:
Ho1 0.000 0.000 0.000
Ho2 0.000 0.368 0.368
Ho3 0.500 0.683 0.683
Co1 0.500 0.555 0.555
Co2 0.500 0.814 0.814
Si1 0.000 0.197 0.197
Si2 0.000 0.596 0.596
Si3 0.000 0.773 0.773
Si4 0.500 0.096 0.096
Si5 0.500 0.273 0.273
Si6 0.500 0.463 0.463
Si7 0.500 0.906 0.906

First-principles (PBE) data for crystalline HoCo5Si3 at its relaxed geometry, as listed in the Materials Project.

## Properties
Energy with MP2020 corrections (eV per atom): -6.86
Energy (eV/f.u.): -61.976

Cell lengths 14.678, 14.678, 3.665 Å; angles 90.00, 90.00, 120.00 degrees
Sites, in units of the cell vectors:
Ho1 0.100 0.706 0.250
Ho2 0.294 0.394 0.250
Ho3 0.394 0.100 0.750
Ho4 0.606 0.900 0.250
Ho5 0.706 0.606 0.750
Ho6 0.900 0.294 0.750
Co1 0.029 0.902 0.250
Co2 0.048 0.266 0.250
Co3 0.074 0.534 0.750
Co4 0.098 0.127 0.250
Co5 0.127 0.029 0.750
Co6 0.148 0.413 0.750
Co7 0.218 0.952 0.250
Co8 0.226 0.573 0.250
Co9 0.265 0.852 0.750
Co10 0.266 0.218 0.750
Co11 0.347 0.774 0.250
Co12 0.413 0.265 0.250
Co13 0.427 0.653 0.250
Co14 0.460 0.926 0.750
Co15 0.466 0.540 0.750
Co16 0.534 0.460 0.250
Co17 0.540 0.074 0.250
Co18 0.573 0.347 0.750
Co19 0.587 0.735 0.750
Co20 0.653 0.226 0.750
Co21 0.734 0.782 0.250
Co22 0.735 0.148 0.250
Co23 0.774 0.427 0.750
Co24 0.782 0.048 0.750
Co25 0.852 0.587 0.250
Co26 0.873 0.971 0.250
Co27 0.902 0.873 0.750
Co28 0.926 0.466 0.250
Co29 0.952 0.734 0.750
Co30 0.971 0.098 0.750
Si1 0.063 0.432 0.250
Si2 0.118 0.871 0.750
Si3 0.129 0.247 0.750
Si4 0.238 0.681 0.750
Si5 0.247 0.118 0.250
Si6 0.319 0.557 0.750
Si7 0.369 0.937 0.250
Si8 0.432 0.369 0.750
Si9 0.443 0.762 0.750
Si10 0.557 0.238 0.250
Si11 0.568 0.631 0.250
Si12 0.631 0.063 0.750
Si13 0.681 0.443 0.250
Si14 0.753 0.882 0.750
Si15 0.762 0.319 0.250
Si16 0.871 0.753 0.250
Si17 0.882 0.129 0.250
Si18 0.937 0.568 0.750

First-principles (PBE) data for crystalline HoCoSi at its relaxed geometry, as listed in the Materials Project.

## Properties
Energy with MP2020 corrections (eV per atom): -6.42
Energy (eV/f.u.): -19.327

Cell lengths 6.882, 4.178, 6.872 Å; angles 90.00, 90.00, 90.00 degrees
Sites, in units of the cell vectors:
Ho1 0.018 0.250 0.188
Ho2 0.482 0.750 0.688
Ho3 0.518 0.250 0.312
Ho4 0.982 0.750 0.812
Co1 0.145 0.750 0.434
Co2 0.355 0.250 0.934
Co3 0.645 0.750 0.066
Co4 0.855 0.250 0.566
Si1 0.195 0.250 0.607
Si2 0.305 0.750 0.107
Si3 0.695 0.250 0.893
Si4 0.805 0.750 0.393

First-principles (PBE) data for crystalline Ho2CoSi2 at its relaxed geometry, as listed in the Materials Project.

## Properties
Energy with MP2020 corrections (eV per atom): -6.17
Energy (eV/f.u.): -30.985

Cell lengths 5.591, 5.591, 9.957 Å; angles 116.78, 116.78, 43.32 degrees
Sites, in units of the cell vectors:
Ho1 0.002 0.002 0.329
Ho2 0.187 0.187 0.108
Ho3 0.813 0.813 0.892
Ho4 0.998 0.998 0.671
Co1 0.273 0.273 0.624
Co2 0.727 0.727 0.376
Si1 0.349 0.349 0.434
Si2 0.493 0.493 0.125
Si3 0.507 0.507 0.875
Si4 0.651 0.651 0.566

First-principles (PBE) data for crystalline Ho3Co6Sn5 at its relaxed geometry, as listed in the Materials Project.

## Properties
Energy (eV/f.u.): -81.206
M_tot (μB per atom): 0.12

Cell lengths 8.084, 8.084, 8.084 Å; angles 149.01, 107.34, 81.06 degrees
Sites, in units of the cell vectors:
Ho1 0.000 0.000 0.000
Ho2 0.318 0.318 0.000
Ho3 0.682 0.682 0.000
Co1 0.166 0.892 0.273
Co2 0.305 0.500 0.805
Co3 0.381 0.108 0.273
Co4 0.619 0.892 0.727
Co5 0.695 0.500 0.195
Co6 0.834 0.108 0.727
Sn1 0.018 0.677 0.341
Sn2 0.336 0.677 0.659
Sn3 0.500 0.000 0.500
Sn4 0.664 0.323 0.341
Sn5 0.982 0.323 0.659

First-principles (PBE) data for crystalline HoCoSn2 at its relaxed geometry, as listed in the Materials Project.

## Properties
Energy (eV/f.u.): -20.683
M_tot (μB per atom): 0.14

Cell lengths 11.118, 11.118, 4.474 Å; angles 90.00, 90.00, 158.49 degrees
Sites, in units of the cell vectors:
Ho1 0.158 0.842 0.750
Ho2 0.842 0.158 0.250
Co1 0.250 0.750 0.250
Co2 0.750 0.250 0.750
Sn1 0.316 0.684 0.750
Sn2 0.457 0.543 0.250
Sn3 0.543 0.457 0.750
Sn4 0.684 0.316 0.250

Number 1: formation energy from the elements -0.103 eV per atom. Number 2: formation energy from the elements 0.300 eV per atom. Number 3: formation energy from the elements -0.225 eV per atom. Number 4: formation energy from the elements -0.148 eV per atom. Number 5: formation energy from the elements -0.279 eV per atom. Number 6: formation energy from the elements -0.254 eV per atom. Number 7: formation energy from the elements -0.151 eV per atom. Number 8: formation energy from the elements -0.156 eV per atom. Number 9: formation energy from the elements -0.848 eV per atom. Number 10: formation energy from the elements -0.805 eV per atom. Number 11: formation energy from the elements -0.615 eV per atom. Number 12: formation energy from the elements -0.632 eV per atom. Number 13: formation energy from the elements -0.596 eV per atom. Number 14: formation energy from the elements -0.713 eV per atom. Number 15: formation energy from the elements -0.744 eV per atom. Number 16: formation energy from the elements -0.340 eV per atom. Number 17: formation energy from the elements -0.243 eV per atom.